Entry one
# Mn3O4F2 (GGA+U, optimized geometry)
data_Mn3O4F2
_chemical_formula_sum 'Mn6 O8 F4'
_cell_length_a 4.633
_cell_length_b 5.563
_cell_length_c 7.610
_cell_angle_alpha 86.28
_cell_angle_beta 88.20
_cell_angle_gamma 88.17
_symmetry_space_group_name_H-M 'P 1'
_symmetry_Int_Tables_number 1
_symmetry_space_group_name_Hall 'P 1'
loop_
_atom_site_label
_atom_site_type_symbol
_atom_site_fract_x
_atom_site_fract_y
_atom_site_fract_z
Mn1 Mn 0.000 0.000 0.000
Mn2 Mn 0.007 0.332 0.665
Mn3 Mn 0.490 0.829 0.664
Mn4 Mn 0.498 0.493 0.984
Mn5 Mn 0.519 0.169 0.339
Mn6 Mn 0.947 0.660 0.323
O1 O 0.190 0.292 0.894
O2 O 0.295 0.786 0.892
O3 O 0.307 0.128 0.562
O4 O 0.683 0.204 0.099
O5 O 0.685 0.530 0.761
O6 O 0.692 0.864 0.435
O7 O 0.793 0.703 0.100
O8 O 0.804 0.371 0.430
F1 F 0.182 0.638 0.539
F2 F 0.195 0.958 0.243
F3 F 0.290 0.472 0.221
F4 F 0.799 0.029 0.763
# ρ = 4.5 Mg/m³
# Total moment = 22.00 μB/cell

Entry two
# Mn3O4F2 (GGA+U, optimized geometry)
data_Mn3O4F2
_chemical_formula_sum 'Mn6 O8 F4'
_cell_length_a 5.503
_cell_length_b 5.523
_cell_length_c 6.993
_cell_angle_alpha 74.36
_cell_angle_beta 73.92
_cell_angle_gamma 75.60
_symmetry_space_group_name_H-M 'P -1'
_symmetry_Int_Tables_number 2
_symmetry_space_group_name_Hall '-P 1'
loop_
_atom_site_label
_atom_site_type_symbol
_atom_site_fract_x
_atom_site_fract_y
_atom_site_fract_z
Mn1 Mn 0.000 0.000 0.000
Mn2 Mn 0.000 0.000 0.500
Mn3 Mn 0.309 0.343 0.173
Mn4 Mn 0.310 0.359 0.667
O1 O 0.034 0.651 0.666
O2 O 0.090 0.120 0.702
O3 O 0.220 0.244 0.962
O4 O 0.430 0.432 0.375
F1 F 0.330 0.706 0.982
F2 F 0.390 0.943 0.330
# ρ = 4.6 Mg/m³
# Total moment = 22.00 μB/cell

Stability ranking, top and bottom: entry two is the most stable and entry one is the least stable.

Entry one
# Mn3O4F2 (GGA+U, optimized geometry)
data_Mn3O4F2
_chemical_formula_sum 'Mn12 O16 F8'
_cell_length_a 6.759
_cell_length_b 6.293
_cell_length_c 9.090
_cell_angle_alpha 90.00
_cell_angle_beta 90.51
_cell_angle_gamma 90.00
_symmetry_space_group_name_H-M 'C 1 2/m 1'
_symmetry_Int_Tables_number 12
_symmetry_space_group_name_Hall '-C 2y'
loop_
_atom_site_label
_atom_site_type_symbol
_atom_site_fract_x
_atom_site_fract_y
_atom_site_fract_z
Mn1 Mn 0.000 0.000 0.000
Mn2 Mn 0.000 0.500 0.500
Mn3 Mn 0.012 0.000 0.675
Mn4 Mn 0.021 0.500 0.166
O1 O 0.000 0.308 0.000
O2 O 0.012 0.305 0.330
O3 O 0.191 0.000 0.839
F1 F 0.188 0.000 0.487
F2 F 0.223 0.000 0.166
# ρ = 4.6 Mg/m³
# Total moment = 44.00 μB/cell

Entry two
# Mn3O4F2 (GGA+U, optimized geometry)
data_Mn3O4F2
_chemical_formula_sum 'Mn6 O8 F4'
_cell_length_a 4.660
_cell_length_b 5.532
_cell_length_c 7.661
_cell_angle_alpha 85.24
_cell_angle_beta 86.91
_cell_angle_gamma 86.26
_symmetry_space_group_name_H-M 'P -1'
_symmetry_Int_Tables_number 2
_symmetry_space_group_name_Hall '-P 1'
loop_
_atom_site_label
_atom_site_type_symbol
_atom_site_fract_x
_atom_site_fract_y
_atom_site_fract_z
Mn1 Mn 0.000 0.000 0.000
Mn2 Mn 0.017 0.680 0.337
Mn3 Mn 0.474 0.151 0.324
Mn4 Mn 0.500 0.500 0.000
O1 O 0.193 0.964 0.227
O2 O 0.301 0.462 0.231
O3 O 0.308 0.130 0.565
O4 O 0.308 0.800 0.897
F1 F 0.198 0.299 0.903
F2 F 0.200 0.622 0.578
# ρ = 4.5 Mg/m³
# Total moment = 22.00 μB/cell

Stability ranking, top and bottom: entry one is the most stable and entry two is the least stable.

Entry one
# Mn3O4F2 (GGA+U, optimized geometry)
data_Mn3O4F2
_chemical_formula_sum 'Mn6 O8 F4'
_cell_length_a 5.567
_cell_length_b 4.600
_cell_length_c 7.695
_cell_angle_alpha 90.00
_cell_angle_beta 93.14
_cell_angle_gamma 90.00
_symmetry_space_group_name_H-M 'P 1 21 1'
_symmetry_Int_Tables_number 4
_symmetry_space_group_name_Hall 'P 2yb'
loop_
_atom_site_label
_atom_site_type_symbol
_atom_site_fract_x
_atom_site_fract_y
_atom_site_fract_z
Mn1 Mn 0.069 0.000 0.342
Mn2 Mn 0.267 0.464 0.003
Mn3 Mn 0.409 0.961 0.680
O1 O 0.121 0.165 0.574
O2 O 0.221 0.665 0.779
O3 O 0.289 0.277 0.232
O4 O 0.454 0.163 0.899
F1 F 0.045 0.778 0.099
F2 F 0.388 0.763 0.439
# ρ = 4.5 Mg/m³
# Total moment = 22.00 μB/cell

Entry two
# Mn3O4F2 (GGA+U, optimized geometry)
data_Mn3O4F2
_chemical_formula_sum 'Mn6 O8 F4'
_cell_length_a 4.672
_cell_length_b 4.672
_cell_length_c 9.026
_cell_angle_alpha 89.28
_cell_angle_beta 89.15
_cell_angle_gamma 88.83
_symmetry_space_group_name_H-M 'P 1'
_symmetry_Int_Tables_number 1
_symmetry_space_group_name_Hall 'P 1'
loop_
_atom_site_label
_atom_site_type_symbol
_atom_site_fract_x
_atom_site_fract_y
_atom_site_fract_z
Mn1 Mn 0.000 0.000 0.000
Mn2 Mn 0.002 0.999 0.682
Mn3 Mn 0.006 0.006 0.364
Mn4 Mn 0.498 0.496 0.862
Mn5 Mn 0.502 0.502 0.496
Mn6 Mn 0.514 0.513 0.180
O1 O 0.197 0.813 0.848
O2 O 0.203 0.800 0.518
O3 O 0.310 0.310 0.017
O4 O 0.325 0.325 0.347
O5 O 0.690 0.690 0.348
O6 O 0.716 0.716 0.017
O7 O 0.803 0.200 0.518
O8 O 0.814 0.196 0.848
F1 F 0.189 0.830 0.183
F2 F 0.318 0.316 0.671
F3 F 0.678 0.677 0.680
F4 F 0.830 0.189 0.182
# ρ = 4.5 Mg/m³
# Total moment = 22.00 μB/cell

Entry three
# Mn3O4F2 (GGA+U, optimized geometry)
data_Mn3O4F2
_chemical_formula_sum 'Mn6 O8 F4'
_cell_length_a 4.642
_cell_length_b 5.569
_cell_length_c 7.635
_cell_angle_alpha 86.54
_cell_angle_beta 89.62
_cell_angle_gamma 88.97
_symmetry_space_group_name_H-M 'P -1'
_symmetry_Int_Tables_number 2
_symmetry_space_group_name_Hall '-P 1'
loop_
_atom_site_label
_atom_site_type_symbol
_atom_site_fract_x
_atom_site_fract_y
_atom_site_fract_z
Mn1 Mn 0.000 0.000 0.000
Mn2 Mn 0.005 0.328 0.683
Mn3 Mn 0.463 0.157 0.341
Mn4 Mn 0.500 0.500 0.000
O1 O 0.189 0.956 0.226
O2 O 0.190 0.296 0.905
O3 O 0.305 0.462 0.235
O4 O 0.306 0.127 0.571
F1 F 0.190 0.631 0.561
F2 F 0.312 0.808 0.881
# ρ = 4.5 Mg/m³
# Total moment = 22.00 μB/cell

Stability ranking, top and bottom: entry one is the most stable and entry two is the least stable.

Entry one
# Mn3O4F2 (GGA+U, optimized geometry)
data_Mn3O4F2
_chemical_formula_sum 'Mn12 O16 F8'
_cell_length_a 6.501
_cell_length_b 6.500
_cell_length_c 9.249
_cell_angle_alpha 90.00
_cell_angle_beta 90.44
_cell_angle_gamma 90.00
_symmetry_space_group_name_H-M 'C 1 2 1'
_symmetry_Int_Tables_number 5
_symmetry_space_group_name_Hall 'C 2y'
loop_
_atom_site_label
_atom_site_type_symbol
_atom_site_fract_x
_atom_site_fract_y
_atom_site_fract_z
Mn1 Mn 0.000 0.000 0.000
Mn2 Mn 0.000 0.500 0.500
Mn3 Mn 0.005 0.030 0.340
Mn4 Mn 0.025 0.498 0.841
O1 O 0.000 0.305 0.000
O2 O 0.000 0.694 0.000
O3 O 0.007 0.320 0.672
O4 O 0.182 0.011 0.171
O5 O 0.193 0.019 0.500
F1 F 0.006 0.716 0.670
F2 F 0.211 0.012 0.819
# ρ = 4.5 Mg/m³
# Total moment = 44.00 μB/cell

Entry two
# Mn3O4F2 (GGA+U, optimized geometry)
data_Mn3O4F2
_chemical_formula_sum 'Mn6 O8 F4'
_cell_length_a 4.652
_cell_length_b 4.652
_cell_length_c 9.178
_cell_angle_alpha 90.00
_cell_angle_beta 90.00
_cell_angle_gamma 90.00
_symmetry_space_group_name_H-M 'P 42/m n m'
_symmetry_Int_Tables_number 136
_symmetry_space_group_name_Hall '-P 4n 2n'
loop_
_atom_site_label
_atom_site_type_symbol
_atom_site_fract_x
_atom_site_fract_y
_atom_site_fract_z
Mn1 Mn 0.000 0.000 0.000
Mn2 Mn 0.000 0.000 0.318
O1 O 0.195 0.195 0.165
F1 F 0.182 0.182 0.500
# ρ = 4.5 Mg/m³
# Total moment = 22.00 μB/cell

Entry three
# Mn3O4F2 (GGA+U, optimized geometry)
data_Mn3O4F2
_chemical_formula_sum 'Mn6 O8 F4'
_cell_length_a 4.676
_cell_length_b 13.953
_cell_length_c 3.038
_cell_angle_alpha 90.00
_cell_angle_beta 90.00
_cell_angle_gamma 90.00
_symmetry_space_group_name_H-M 'P n n m'
_symmetry_Int_Tables_number 58
_symmetry_space_group_name_Hall '-P 2 2n'
loop_
_atom_site_label
_atom_site_type_symbol
_atom_site_fract_x
_atom_site_fract_y
_atom_site_fract_z
Mn1 Mn 0.000 0.000 0.000
Mn2 Mn 0.075 0.326 0.000
O1 O 0.179 0.935 0.500
O2 O 0.239 0.767 0.000
F1 F 0.147 0.608 0.500
# ρ = 4.5 Mg/m³
# Total moment = 22.00 μB/cell

Entry four
# Mn3O4F2 (GGA+U, optimized geometry)
data_Mn3O4F2
_chemical_formula_sum 'Mn6 O8 F4'
_cell_length_a 5.518
_cell_length_b 5.574
_cell_length_c 7.210
_cell_angle_alpha 72.81
_cell_angle_beta 72.53
_cell_angle_gamma 72.10
_symmetry_space_group_name_H-M 'P -1'
_symmetry_Int_Tables_number 2
_symmetry_space_group_name_Hall '-P 1'
loop_
_atom_site_label
_atom_site_type_symbol
_atom_site_fract_x
_atom_site_fract_y
_atom_site_fract_z
Mn1 Mn 0.000 0.000 0.000
Mn2 Mn 0.000 0.000 0.500
Mn3 Mn 0.355 0.347 0.172
Mn4 Mn 0.356 0.302 0.658
O1 O 0.107 0.097 0.705
O2 O 0.306 0.692 0.001
O3 O 0.355 0.994 0.326
O4 O 0.442 0.444 0.371
F1 F 0.027 0.606 0.682
F2 F 0.244 0.242 0.966
# ρ = 4.5 Mg/m³
# Total moment = 22.00 μB/cell

Stability ranking, top and bottom: entry three is the most stable and entry two is the least stable.

Entry one
# Mn3O4F2 (GGA+U, optimized geometry)
data_Mn3O4F2
_chemical_formula_sum 'Mn6 O8 F4'
_cell_length_a 7.692
_cell_length_b 4.607
_cell_length_c 5.528
_cell_angle_alpha 90.00
_cell_angle_beta 93.28
_cell_angle_gamma 90.00
_symmetry_space_group_name_H-M 'P 1 21/c 1'
_symmetry_Int_Tables_number 14
_symmetry_space_group_name_Hall '-P 2ybc'
loop_
_atom_site_label
_atom_site_type_symbol
_atom_site_fract_x
_atom_site_fract_y
_atom_site_fract_z
Mn1 Mn 0.000 0.000 0.000
Mn2 Mn 0.340 0.030 0.333
O1 O 0.108 0.191 0.297
O2 O 0.440 0.190 0.629
F1 F 0.246 0.707 0.538
# ρ = 4.5 Mg/m³
# Total moment = 22.00 μB/cell

Entry two
# Mn3O4F2 (GGA+U, optimized geometry)
data_Mn3O4F2
_chemical_formula_sum 'Mn6 O8 F4'
_cell_length_a 4.705
_cell_length_b 4.705
_cell_length_c 8.970
_cell_angle_alpha 90.00
_cell_angle_beta 90.00
_cell_angle_gamma 90.00
_symmetry_space_group_name_H-M 'P 42 n m'
_symmetry_Int_Tables_number 102
_symmetry_space_group_name_Hall 'P 4n -2n'
loop_
_atom_site_label
_atom_site_type_symbol
_atom_site_fract_x
_atom_site_fract_y
_atom_site_fract_z
Mn1 Mn 0.000 0.000 0.000
Mn2 Mn 0.000 0.000 0.316
Mn3 Mn 0.000 0.000 0.633
O1 O 0.183 0.183 0.483
O2 O 0.200 0.200 0.153
F1 F 0.180 0.180 0.816
# ρ = 4.5 Mg/m³
# Total moment = 22.00 μB/cell

Stability ranking, top and bottom: entry one is the most stable and entry two is the least stable.

Entry one
# Mn3O4F2 (GGA+U, optimized geometry)
data_Mn3O4F2
_chemical_formula_sum 'Mn12 O16 F8'
_cell_length_a 9.063
_cell_length_b 6.284
_cell_length_c 7.605
_cell_angle_alpha 90.00
_cell_angle_beta 114.60
_cell_angle_gamma 90.00
_symmetry_space_group_name_H-M 'C 1 2/m 1'
_symmetry_Int_Tables_number 12
_symmetry_space_group_name_Hall '-C 2y'
loop_
_atom_site_label
_atom_site_type_symbol
_atom_site_fract_x
_atom_site_fract_y
_atom_site_fract_z
Mn1 Mn 0.000 0.000 0.000
Mn2 Mn 0.000 0.000 0.500
Mn3 Mn 0.163 0.500 0.172
Mn4 Mn 0.184 0.500 0.653
O1 O 0.000 0.302 0.000
O2 O 0.090 0.000 0.289
O3 O 0.173 0.194 0.656
F1 F 0.037 0.500 0.356
F2 F 0.218 0.000 0.032
# ρ = 4.5 Mg/m³
# Total moment = 44.00 μB/cell

Entry two
# Mn3O4F2 (GGA+U, optimized geometry)
data_Mn3O4F2
_chemical_formula_sum 'Mn6 O8 F4'
_cell_length_a 5.546
_cell_length_b 5.549
_cell_length_c 7.390
_cell_angle_alpha 71.50
_cell_angle_beta 71.35
_cell_angle_gamma 70.93
_symmetry_space_group_name_H-M 'P 1'
_symmetry_Int_Tables_number 1
_symmetry_space_group_name_Hall 'P 1'
loop_
_atom_site_label
_atom_site_type_symbol
_atom_site_fract_x
_atom_site_fract_y
_atom_site_fract_z
Mn1 Mn 0.000 0.000 0.000
Mn2 Mn 0.014 0.015 0.501
Mn3 Mn 0.339 0.340 0.175
Mn4 Mn 0.363 0.303 0.670
Mn5 Mn 0.651 0.651 0.834
Mn6 Mn 0.683 0.685 0.354
O1 O 0.116 0.097 0.710
O2 O 0.305 0.694 0.003
O3 O 0.371 0.982 0.340
O4 O 0.571 0.552 0.637
O5 O 0.661 0.007 0.672
O6 O 0.692 0.305 0.002
O7 O 0.912 0.903 0.297
O8 O 0.981 0.373 0.340
F1 F 0.046 0.622 0.672
F2 F 0.231 0.233 0.978
F3 F 0.457 0.458 0.363
F4 F 0.765 0.755 0.041
# ρ = 4.5 Mg/m³
# Total moment = 22.00 μB/cell

Stability ranking, top and bottom: entry one is the most stable and entry two is the least stable.